(1)
Density functional theory data (PBE) for a relaxed Er2ReB6 crystal.

Cell and atoms, written as POSCAR:
```
Er2ReB6
1.0
9.136 0.000 0.000
0.000 11.515 0.000
0.000 0.000 3.651
Er Re B
8 4 24
Cartesian
0.514 1.496 0.000
1.608 4.765 0.000
2.960 10.522 0.000
4.054 7.253 0.000
5.082 4.262 0.000
6.176 0.992 0.000
7.528 6.749 0.000
8.622 10.019 0.000
1.268 7.818 0.000
3.300 2.060 0.000
5.836 9.454 0.000
7.868 3.697 0.000
0.159 3.314 1.826
0.488 6.526 1.826
0.917 11.190 1.826
1.203 9.377 1.826
1.890 2.697 1.826
2.282 0.925 1.826
2.286 6.682 1.826
2.678 8.454 1.826
3.365 3.620 1.826
3.651 5.433 1.826
4.080 0.769 1.826
4.409 9.072 1.826
4.727 2.443 1.826
5.056 10.746 1.826
5.486 6.081 1.826
5.771 7.895 1.826
6.458 3.060 1.826
6.850 4.832 1.826
6.854 10.590 1.826
7.246 8.818 1.826
7.933 2.137 1.826
8.219 0.324 1.826
8.648 4.988 1.826
8.977 8.200 1.826
```

Summary:
Calculated volume = 10.67 Å³/atom
E = -7.51 eV per atom

(2)
Density functional theory data (PBE) for a relaxed TlH crystal.

Cell and atoms, written as POSCAR:
```
TlH
1.0
3.891 0.000 0.000
-1.946 3.370 0.000
0.000 0.000 6.568
Tl H
2 2
Cartesian
0.000 2.247 0.000
1.946 1.123 3.284
0.000 2.247 4.185
1.946 1.123 0.901
```

Summary:
Calculated volume = 21.53 Å³/atom
M_tot = 0.00 μB/atom
E = -2.43 eV per atom

(3)
Density functional theory data (PBE) for a relaxed La3AlCrS7 crystal.

Cell and atoms, written as POSCAR:
```
La3AlCrS7
1.0
10.214 0.000 0.000
-5.107 8.846 0.000
0.000 0.000 6.050
La Al Cr S
6 2 2 14
Cartesian
-0.464 3.309 0.000
-2.009 7.593 0.000
2.633 2.057 3.025
2.474 6.789 0.000
7.116 1.252 3.025
5.571 5.537 3.025
0.000 5.897 2.537
5.107 2.949 5.562
0.000 0.000 1.699
0.000 0.000 4.724
-0.275 2.027 3.224
-1.944 5.134 1.668
-3.214 8.070 3.224
1.618 1.252 0.199
0.000 5.897 4.764
1.633 4.595 1.668
0.311 7.962 1.668
4.796 0.883 4.693
3.474 4.251 4.693
5.107 2.949 1.739
3.489 7.594 3.224
8.321 0.775 0.199
7.051 3.711 4.693
5.382 6.818 0.199
```

Summary:
Calculated volume = 22.78 Å³/atom
M_tot = 0.33 μB/atom
E = -6.48 eV per atom

Number 1: density 10.13 g cm⁻³, E_form -0.66 eV per atom. Number 2: density 7.92 g cm⁻³, E_form 0.36 eV per atom. Number 3: density 4.38 g cm⁻³, E_form -2.01 eV per atom.